Here is a relaxed structure of Li4MnCo2O7 from the Materials Project database. Energies are from GGA+U.

Cell lengths 3.0234, 5.0428, 16.6779 Å; angles 90.07, 91.48, 91.73 degrees
Fractional positions:
O (0.2970, 0.8615, 0.6390)
O (0.9477, 0.6983, 0.9292)
O (0.2570, 0.2805, 0.5074)
O (0.5609, 0.8433, 0.0756)
O (0.5878, 0.4387, 0.2156)
O (0.7252, 0.7381, 0.5049)
O (0.1727, 0.5764, 0.3479)
O (0.4265, 0.1598, 0.9279)
O (0.7063, 0.1173, 0.3513)
O (0.9089, 0.0158, 0.7846)
O (0.0025, 0.3050, 0.0738)
O (0.4283, 0.5530, 0.7869)
O (0.1386, 0.0003, 0.2157)
O (0.8451, 0.4111, 0.6409)
Mn (0.9941, 0.9995, 0.0023)
Mn (0.8600, 0.7120, 0.7121)
Li (0.3541, 0.2163, 0.7135)
Li (0.5012, 0.4984, 0.0005)
Li (0.7146, 0.4286, 0.4278)
Li (0.2140, 0.9289, 0.4282)
Li (0.7802, 0.0748, 0.5709)
Li (0.6485, 0.7838, 0.2859)
Li (0.0746, 0.6403, 0.1439)
Li (0.9284, 0.3571, 0.8570)
Co (0.2746, 0.5682, 0.5640)
Co (0.4285, 0.8571, 0.8569)
Co (0.5727, 0.1473, 0.1451)
Co (0.1500, 0.2884, 0.2911)

Calculated values
**Volume**: 254.1 Å³/cell
**Total magnetic moment**: 16.0 μB/cell
**Polymorph energy (0 for the lowest one)**: 0.075 eV/atom
**Crystal system**: triclinic